1.
The following is a DFT calculation (PBE+U) of an optimized crystal structure of Ba2AlFe3O8.

Cell: 3.867 3.867 12.063 Å, 90.00 90.00 90.00°
Element x y z (fractional)
O (0.500, 0.000, 0.602)
O (0.500, 0.000, 0.398)
O (0.000, 0.500, 0.602)
O (0.000, 0.000, 0.194)
O (0.000, 0.000, 0.806)
O (0.500, 0.000, 0.000)
O (0.000, 0.500, 0.398)
O (0.000, 0.500, 0.000)
Ba (0.500, 0.500, 0.166)
Ba (0.500, 0.500, 0.834)
Al (0.500, 0.500, 0.500)
Fe (0.000, 0.000, 0.000)
Fe (0.000, 0.000, 0.649)
Fe (0.000, 0.000, 0.351)

## Properties
* electronic total energy: -6.46 eV per atom
* corrected total energy (MP2020 scheme): -7.33 eV per atom
* energy of formation from the pure elements: -2147.9 meV per atom


2.
The following is a DFT calculation (PBE+U) of an optimized crystal structure of MgCr2Bi2O8.

Cell: 6.476 6.123 6.123 Å, 103.37 107.47 115.25°
Element x y z (fractional)
O (0.323, 0.307, 0.128)
O (0.193, 0.627, 0.909)
O (0.677, 0.805, 0.984)
O (0.345, 0.756, 0.496)
O (0.806, 0.398, 0.060)
O (0.193, 0.253, 0.591)
O (0.807, 0.716, 0.434)
O (0.655, 0.151, 0.412)
Bi (0.937, 0.197, 0.802)
Bi (0.063, 0.865, 0.260)
Cr (0.632, 0.345, 0.242)
Cr (0.368, 0.610, 0.713)
Mg (0.500, 0.740, 0.240)

## Properties
* electronic total energy: -6.46 eV per atom
* corrected total energy (MP2020 scheme): -7.19 eV per atom
* energy of formation from the pure elements: -1939.9 meV per atom


3.
The following is a DFT calculation (PBE+U) of an optimized crystal structure of Eu2DyWO6.

Cell: 5.930 5.930 5.930 Å, 60.00 60.00 60.00°
Element x y z (fractional)
O (0.737, 0.263, 0.737)
O (0.263, 0.737, 0.263)
O (0.737, 0.737, 0.263)
O (0.263, 0.263, 0.737)
O (0.263, 0.737, 0.737)
O (0.737, 0.263, 0.263)
Dy (0.000, 0.000, 0.000)
Eu (0.750, 0.750, 0.750)
Eu (0.250, 0.250, 0.250)
W (0.500, 0.500, 0.500)

## Properties
* electronic total energy: -8.90 eV per atom
* corrected total energy (MP2020 scheme): -9.76 eV per atom
* energy of formation from the pure elements: -2981.7 meV per atom